# Sn4Pd, relaxed, DFT PBE
# - final energy (eV per atom) = -4.48
data_Sn4Pd
_symmetry_space_group_name_H-M 'P 1'
_symmetry_Int_Tables_number 1
_symmetry_space_group_name_Hall 'P 1'
_cell_length_a 6.687
_cell_length_b 6.687
_cell_length_c 6.530
_cell_angle_alpha 90.00
_cell_angle_beta 90.00
_cell_angle_gamma 121.23
loop_
_atom_site_label
_atom_site_type_symbol
_atom_site_fract_x
_atom_site_fract_y
_atom_site_fract_z
_atom_site_occupancy
Sn1 Sn 0.047 0.294 0.079 1
Sn2 Sn 0.206 0.453 0.579 1
Sn3 Sn 0.294 0.047 0.579 1
Sn4 Sn 0.453 0.206 0.079 1
Sn5 Sn 0.547 0.794 0.921 1
Sn6 Sn 0.706 0.953 0.421 1
Sn7 Sn 0.794 0.547 0.421 1
Sn8 Sn 0.953 0.706 0.921 1
Pd1 Pd 0.250 0.750 0.250 1
Pd2 Pd 0.750 0.250 0.750 1


# AcEuAu2, relaxed, DFT PBE
# - final energy (eV per atom) = -6.02
data_AcEuAu2
_symmetry_space_group_name_H-M 'P 1'
_symmetry_Int_Tables_number 1
_symmetry_space_group_name_Hall 'P 1'
_cell_length_a 5.491
_cell_length_b 5.491
_cell_length_c 5.491
_cell_angle_alpha 60.00
_cell_angle_beta 60.00
_cell_angle_gamma 60.00
loop_
_atom_site_label
_atom_site_type_symbol
_atom_site_fract_x
_atom_site_fract_y
_atom_site_fract_z
_atom_site_occupancy
Ac1 Ac 0.000 0.000 0.000 1
Eu1 Eu 0.500 0.500 0.500 1
Au1 Au 0.250 0.250 0.250 1
Au2 Au 0.750 0.750 0.750 1


# CeDyZn2, relaxed, DFT PBE
# - total moment (μB/cell) = 1.04
# - final energy (eV per atom) = -3.53
data_CeDyZn2
_symmetry_space_group_name_H-M 'P 1'
_symmetry_Int_Tables_number 1
_symmetry_space_group_name_Hall 'P 1'
_cell_length_a 5.111
_cell_length_b 5.111
_cell_length_c 5.111
_cell_angle_alpha 60.00
_cell_angle_beta 60.00
_cell_angle_gamma 60.00
loop_
_atom_site_label
_atom_site_type_symbol
_atom_site_fract_x
_atom_site_fract_y
_atom_site_fract_z
_atom_site_occupancy
Ce1 Ce 0.000 0.000 0.000 1
Dy1 Dy 0.500 0.500 0.500 1
Zn1 Zn 0.250 0.250 0.250 1
Zn2 Zn 0.750 0.750 0.750 1


# Er2MgSe4, relaxed, DFT PBE
# - energy relative to the lowest polymorph listed for this composition (meV/atom) = 101
# - total moment (μB/cell) = 0.00
# - final energy (eV per atom) = -5.12
data_Er2MgSe4
_symmetry_space_group_name_H-M 'P 1'
_symmetry_Int_Tables_number 1
_symmetry_space_group_name_Hall 'P 1'
_cell_length_a 7.502
_cell_length_b 7.502
_cell_length_c 7.502
_cell_angle_alpha 110.37
_cell_angle_beta 110.37
_cell_angle_gamma 107.68
loop_
_atom_site_label
_atom_site_type_symbol
_atom_site_fract_x
_atom_site_fract_y
_atom_site_fract_z
_atom_site_occupancy
Er1 Er 0.007 0.625 0.882 1
Er2 Er 0.375 0.257 0.382 1
Er3 Er 0.743 0.125 0.118 1
Er4 Er 0.875 0.993 0.618 1
Mg1 Mg 0.250 0.750 0.500 1
Mg2 Mg 0.500 0.500 0.000 1
Se1 Se 0.009 0.879 0.259 1
Se2 Se 0.121 0.380 0.130 1
Se3 Se 0.130 0.371 0.630 1
Se4 Se 0.251 0.991 0.870 1
Se5 Se 0.499 0.870 0.241 1
Se6 Se 0.620 0.749 0.741 1
Se7 Se 0.629 0.259 0.759 1
Se8 Se 0.741 0.501 0.370 1


# GdI3O11, relaxed, DFT PBE
# - total moment (μB/cell) = 22.00
# - final energy (eV per atom) = -5.36
data_GdI3O11
_symmetry_space_group_name_H-M 'P 1'
_symmetry_Int_Tables_number 1
_symmetry_space_group_name_Hall 'P 1'
_cell_length_a 7.077
_cell_length_b 7.578
_cell_length_c 10.756
_cell_angle_alpha 94.63
_cell_angle_beta 105.48
_cell_angle_gamma 110.39
loop_
_atom_site_label
_atom_site_type_symbol
_atom_site_fract_x
_atom_site_fract_y
_atom_site_fract_z
_atom_site_occupancy
Gd1 Gd 0.103 0.422 0.289 1
Gd2 Gd 0.897 0.578 0.711 1
I1 I 0.267 0.731 0.045 1
I2 I 0.278 0.360 0.662 1
I3 I 0.317 0.859 0.574 1
I4 I 0.683 0.141 0.426 1
I5 I 0.722 0.640 0.338 1
I6 I 0.733 0.269 0.955 1
O1 O 0.070 0.625 0.130 1
O2 O 0.098 0.797 0.911 1
O3 O 0.099 0.848 0.639 1
O4 O 0.142 0.723 0.407 1
O5 O 0.224 0.152 0.276 1
O6 O 0.236 0.557 0.748 1
O7 O 0.246 0.224 0.888 1
O8 O 0.294 0.465 0.515 1
O9 O 0.377 0.101 0.536 1
O10 O 0.434 0.549 0.248 1
O11 O 0.436 0.961 0.152 1
O12 O 0.564 0.039 0.848 1
O13 O 0.566 0.451 0.752 1
O14 O 0.623 0.899 0.464 1
O15 O 0.706 0.535 0.485 1
O16 O 0.754 0.776 0.112 1
O17 O 0.764 0.443 0.252 1
O18 O 0.776 0.848 0.724 1
O19 O 0.858 0.277 0.593 1
O20 O 0.901 0.152 0.361 1
O21 O 0.902 0.203 0.089 1
O22 O 0.930 0.375 0.870 1


# Ti2ZnP3O12, relaxed, DFT PBE
# - total moment (μB/cell) = 2.00
# - final energy (eV per atom) = -7.55
data_Ti2ZnP3O12
_symmetry_space_group_name_H-M 'P 1'
_symmetry_Int_Tables_number 1
_symmetry_space_group_name_Hall 'P 1'
_cell_length_a 8.567
_cell_length_b 8.567
_cell_length_c 8.567
_cell_angle_alpha 60.85
_cell_angle_beta 60.85
_cell_angle_gamma 60.85
loop_
_atom_site_label
_atom_site_type_symbol
_atom_site_fract_x
_atom_site_fract_y
_atom_site_fract_z
_atom_site_occupancy
Ti1 Ti 0.145 0.145 0.145 1
Ti2 Ti 0.355 0.355 0.355 1
Ti3 Ti 0.645 0.645 0.645 1
Ti4 Ti 0.855 0.855 0.855 1
Zn1 Zn 0.000 0.000 0.000 1
Zn2 Zn 0.500 0.500 0.500 1
P1 P 0.045 0.750 0.455 1
P2 P 0.250 0.545 0.955 1
P3 P 0.455 0.045 0.750 1
P4 P 0.545 0.955 0.250 1
P5 P 0.750 0.455 0.045 1
P6 P 0.955 0.250 0.545 1
O1 O 0.002 0.814 0.615 1
O2 O 0.059 0.912 0.260 1
O3 O 0.088 0.740 0.941 1
O4 O 0.115 0.314 0.502 1
O5 O 0.186 0.385 0.998 1
O6 O 0.240 0.588 0.441 1
O7 O 0.260 0.059 0.912 1
O8 O 0.314 0.502 0.115 1
O9 O 0.385 0.998 0.186 1
O10 O 0.412 0.559 0.760 1
O11 O 0.441 0.240 0.588 1
O12 O 0.498 0.885 0.686 1
O13 O 0.502 0.115 0.314 1
O14 O 0.559 0.760 0.412 1
O15 O 0.588 0.441 0.240 1
O16 O 0.615 0.002 0.814 1
O17 O 0.686 0.498 0.885 1
O18 O 0.740 0.941 0.088 1
O19 O 0.760 0.412 0.559 1
O20 O 0.814 0.615 0.002 1
O21 O 0.885 0.686 0.498 1
O22 O 0.912 0.260 0.059 1
O23 O 0.941 0.088 0.740 1
O24 O 0.998 0.186 0.385 1


# Cs2CaF4, relaxed, DFT PBE
# - final energy (eV per atom) = -4.85
data_Cs2CaF4
_symmetry_space_group_name_H-M 'P 1'
_symmetry_Int_Tables_number 1
_symmetry_space_group_name_Hall 'P 1'
_cell_length_a 8.196
_cell_length_b 8.196
_cell_length_c 8.196
_cell_angle_alpha 147.68
_cell_angle_beta 147.68
_cell_angle_gamma 46.36
loop_
_atom_site_label
_atom_site_type_symbol
_atom_site_fract_x
_atom_site_fract_y
_atom_site_fract_z
_atom_site_occupancy
Cs1 Cs 0.149 0.149 0.000 1
Cs2 Cs 0.851 0.851 0.000 1
Ca1 Ca 0.500 0.500 0.000 1
F1 F 0.000 0.500 0.500 1
F2 F 0.348 0.348 0.000 1
F3 F 0.500 0.000 0.500 1
F4 F 0.652 0.652 0.000 1


# DyGaAg, relaxed, DFT PBE
# - final energy (eV per atom) = -3.97
data_DyGaAg
_symmetry_space_group_name_H-M 'P 1'
_symmetry_Int_Tables_number 1
_symmetry_space_group_name_Hall 'P 1'
_cell_length_a 5.724
_cell_length_b 5.724
_cell_length_c 7.204
_cell_angle_alpha 127.99
_cell_angle_beta 127.99
_cell_angle_gamma 47.26
loop_
_atom_site_label
_atom_site_type_symbol
_atom_site_fract_x
_atom_site_fract_y
_atom_site_fract_z
_atom_site_occupancy
Dy1 Dy 0.036 0.036 0.291 1
Dy2 Dy 0.964 0.964 0.709 1
Ga1 Ga 0.340 0.340 0.885 1
Ga2 Ga 0.660 0.660 0.115 1
Ag1 Ag 0.327 0.327 0.278 1
Ag2 Ag 0.673 0.673 0.722 1


# YTiPS2O12, relaxed, DFT PBE
# - total moment (μB/cell) = 0.00
# - final energy (eV per atom) = -7.35
data_YTiPS2O12
_symmetry_space_group_name_H-M 'P 1'
_symmetry_Int_Tables_number 1
_symmetry_space_group_name_Hall 'P 1'
_cell_length_a 8.993
_cell_length_b 8.993
_cell_length_c 22.542
_cell_angle_alpha 90.50
_cell_angle_beta 90.50
_cell_angle_gamma 59.76
loop_
_atom_site_label
_atom_site_type_symbol
_atom_site_fract_x
_atom_site_fract_y
_atom_site_fract_z
_atom_site_occupancy
Y1 Y 0.001 0.999 0.500 1
Y2 Y 0.333 0.343 0.333 1
Y3 Y 0.343 0.333 0.833 1
Y4 Y 0.668 0.674 0.666 1
Y5 Y 0.674 0.668 0.166 1
Y6 Y 0.999 0.001 0.000 1
Ti1 Ti 0.020 0.979 0.220 1
Ti2 Ti 0.329 0.339 0.553 1
Ti3 Ti 0.339 0.329 0.053 1
Ti4 Ti 0.667 0.670 0.886 1
Ti5 Ti 0.670 0.667 0.386 1
Ti6 Ti 0.979 0.020 0.720 1
P1 P 0.036 0.702 0.113 1
P2 P 0.039 0.603 0.447 1
P3 P 0.384 0.692 0.280 1
P4 P 0.603 0.039 0.947 1
P5 P 0.692 0.384 0.780 1
P6 P 0.702 0.036 0.613 1
S1 S 0.031 0.275 0.614 1
S2 S 0.039 0.365 0.947 1
S3 S 0.273 0.707 0.613 1
S4 S 0.275 0.031 0.114 1
S5 S 0.365 0.039 0.447 1
S6 S 0.365 0.608 0.947 1
S7 S 0.367 0.940 0.780 1
S8 S 0.608 0.365 0.447 1
S9 S 0.701 0.939 0.281 1
S10 S 0.707 0.273 0.113 1
S11 S 0.939 0.701 0.781 1
S12 S 0.940 0.367 0.280 1
O1 O 0.000 0.203 0.560 1
O2 O 0.003 0.784 0.458 1
O3 O 0.006 0.223 0.956 1
O4 O 0.055 0.167 0.667 1
O5 O 0.062 0.797 0.169 1
O6 O 0.116 0.560 0.791 1
O7 O 0.117 0.331 0.290 1
O8 O 0.125 0.390 0.000 1
O9 O 0.135 0.482 0.502 1
O10 O 0.142 0.332 0.893 1
O11 O 0.151 0.527 0.393 1
O12 O 0.164 0.792 0.665 1
O13 O 0.167 0.055 0.167 1
O14 O 0.195 0.280 0.606 1
O15 O 0.201 0.943 0.771 1
O16 O 0.202 0.865 0.270 1
O17 O 0.203 0.000 0.060 1
O18 O 0.204 0.527 0.101 1
O19 O 0.207 0.812 0.560 1
O20 O 0.223 0.006 0.456 1
O21 O 0.228 0.787 0.956 1
O22 O 0.278 0.538 0.603 1
O23 O 0.280 0.195 0.106 1
O24 O 0.323 0.542 0.894 1
O25 O 0.331 0.117 0.790 1
O26 O 0.332 0.142 0.393 1
O27 O 0.346 0.548 0.291 1
O28 O 0.390 0.125 0.500 1
O29 O 0.392 0.497 0.999 1
O30 O 0.451 0.668 0.622 1
O31 O 0.452 0.889 0.122 1
O32 O 0.457 0.830 0.833 1
O33 O 0.475 0.720 0.335 1
O34 O 0.476 0.871 0.728 1
O35 O 0.482 0.135 0.002 1
O36 O 0.488 0.661 0.225 1
O37 O 0.497 0.392 0.499 1
O38 O 0.527 0.151 0.893 1
O39 O 0.527 0.204 0.601 1
O40 O 0.529 0.611 0.938 1
O41 O 0.529 0.869 0.439 1
O42 O 0.538 0.278 0.103 1
O43 O 0.542 0.323 0.394 1
O44 O 0.548 0.346 0.791 1
O45 O 0.560 0.116 0.291 1
O46 O 0.611 0.529 0.438 1
O47 O 0.611 0.862 0.936 1
O48 O 0.661 0.488 0.725 1
O49 O 0.664 0.870 0.228 1
O50 O 0.668 0.451 0.122 1
O51 O 0.668 0.891 0.625 1
O52 O 0.720 0.475 0.835 1
O53 O 0.729 0.829 0.334 1
O54 O 0.784 0.003 0.958 1
O55 O 0.787 0.228 0.456 1
O56 O 0.792 0.164 0.165 1
O57 O 0.797 0.062 0.669 1
O58 O 0.812 0.207 0.060 1
O59 O 0.819 0.998 0.561 1
O60 O 0.829 0.729 0.834 1
O61 O 0.830 0.457 0.333 1
O62 O 0.862 0.611 0.436 1
O63 O 0.864 0.946 0.272 1
O64 O 0.865 0.202 0.770 1
O65 O 0.869 0.529 0.939 1
O66 O 0.870 0.664 0.728 1
O67 O 0.871 0.476 0.228 1
O68 O 0.889 0.452 0.622 1
O69 O 0.891 0.668 0.125 1
O70 O 0.943 0.201 0.271 1
O71 O 0.946 0.864 0.772 1
O72 O 0.998 0.819 0.061 1


# Ho8MgGe8O28, relaxed, DFT PBE
# - total moment (μB/cell) = 0.00
# - final energy (eV per atom) = -7.27
data_Ho8MgGe8O28
_symmetry_space_group_name_H-M 'P 1'
_symmetry_Int_Tables_number 1
_symmetry_space_group_name_Hall 'P 1'
_cell_length_a 6.829
_cell_length_b 6.829
_cell_length_c 12.964
_cell_angle_alpha 91.08
_cell_angle_beta 91.08
_cell_angle_gamma 89.99
loop_
_atom_site_label
_atom_site_type_symbol
_atom_site_fract_x
_atom_site_fract_y
_atom_site_fract_z
_atom_site_occupancy
Ho1 Ho 0.102 0.102 0.137 1
Ho2 Ho 0.136 0.397 0.853 1
Ho3 Ho 0.374 0.088 0.378 1
Ho4 Ho 0.403 0.380 0.609 1
Ho5 Ho 0.603 0.864 0.147 1
Ho6 Ho 0.620 0.597 0.391 1
Ho7 Ho 0.898 0.898 0.863 1
Ho8 Ho 0.912 0.626 0.622 1
Mg1 Mg 0.762 0.238 0.000 1
Ge1 Ge 0.095 0.629 0.112 1
Ge2 Ge 0.151 0.581 0.371 1
Ge3 Ge 0.371 0.905 0.888 1
Ge4 Ge 0.419 0.849 0.629 1
Ge5 Ge 0.539 0.353 0.148 1
Ge6 Ge 0.647 0.461 0.852 1
Ge7 Ge 0.845 0.091 0.376 1
Ge8 Ge 0.909 0.155 0.624 1
O1 O 0.059 0.407 0.036 1
O2 O 0.060 0.095 0.304 1
O3 O 0.090 0.516 0.238 1
O4 O 0.097 0.318 0.671 1
O5 O 0.184 0.086 0.914 1
O6 O 0.196 0.713 0.888 1
O7 O 0.229 0.676 0.626 1
O8 O 0.287 0.804 0.112 1
O9 O 0.311 0.404 0.430 1
O10 O 0.324 0.771 0.374 1
O11 O 0.399 0.062 0.557 1
O12 O 0.402 0.139 0.206 1
O13 O 0.433 0.386 0.778 1
O14 O 0.484 0.910 0.762 1
O15 O 0.560 0.440 0.000 1
O16 O 0.593 0.941 0.964 1
O17 O 0.596 0.689 0.570 1
O18 O 0.614 0.567 0.222 1
O19 O 0.666 0.274 0.384 1
O20 O 0.682 0.903 0.329 1
O21 O 0.726 0.334 0.616 1
O22 O 0.765 0.172 0.142 1
O23 O 0.828 0.235 0.858 1
O24 O 0.861 0.598 0.794 1
O25 O 0.905 0.940 0.696 1
O26 O 0.914 0.816 0.086 1
O27 O 0.938 0.601 0.443 1
O28 O 0.954 0.046 0.500 1


# TiCr2S4, relaxed, DFT PBE
# - energy relative to the lowest polymorph listed for this composition (meV/atom) = 0
# - final energy (eV per atom) = -7.17
data_TiCr2S4
_symmetry_space_group_name_H-M 'P 1'
_symmetry_Int_Tables_number 1
_symmetry_space_group_name_Hall 'P 1'
_cell_length_a 6.523
_cell_length_b 6.523
_cell_length_c 5.965
_cell_angle_alpha 115.52
_cell_angle_beta 115.52
_cell_angle_gamma 30.24
loop_
_atom_site_label
_atom_site_type_symbol
_atom_site_fract_x
_atom_site_fract_y
_atom_site_fract_z
_atom_site_occupancy
Ti1 Ti 0.000 0.000 0.000 1
Cr1 Cr 0.252 0.252 0.290 1
Cr2 Cr 0.517 0.517 0.583 1
S1 S 0.142 0.142 0.838 1
S2 S 0.373 0.373 0.733 1
S3 S 0.624 0.624 0.322 1
S4 S 0.889 0.889 0.272 1


# CsBa2SnS4Cl, relaxed, DFT PBE
# - total moment (μB/cell) = 0.00
# - final energy (eV per atom) = -4.56
data_CsBa2SnS4Cl
_symmetry_space_group_name_H-M 'P 1'
_symmetry_Int_Tables_number 1
_symmetry_space_group_name_Hall 'P 1'
_cell_length_a 10.122
_cell_length_b 8.974
_cell_length_c 12.782
_cell_angle_alpha 90.00
_cell_angle_beta 90.88
_cell_angle_gamma 90.00
loop_
_atom_site_label
_atom_site_type_symbol
_atom_site_fract_x
_atom_site_fract_y
_atom_site_fract_z
_atom_site_occupancy
Cs1 Cs 0.022 0.085 0.328 1
Cs2 Cs 0.022 0.415 0.828 1
Cs3 Cs 0.978 0.585 0.172 1
Cs4 Cs 0.978 0.915 0.672 1
Ba1 Ba 0.248 0.601 0.477 1
Ba2 Ba 0.248 0.899 0.977 1
Ba3 Ba 0.480 0.093 0.322 1
Ba4 Ba 0.480 0.407 0.822 1
Ba5 Ba 0.520 0.593 0.178 1
Ba6 Ba 0.520 0.907 0.678 1
Ba7 Ba 0.752 0.101 0.023 1
Ba8 Ba 0.752 0.399 0.523 1
Sn1 Sn 0.258 0.188 0.600 1
Sn2 Sn 0.258 0.312 0.100 1
Sn3 Sn 0.742 0.688 0.900 1
Sn4 Sn 0.742 0.812 0.400 1
S1 S 0.061 0.175 0.059 1
S2 S 0.061 0.325 0.559 1
S3 S 0.282 0.129 0.784 1
S4 S 0.282 0.371 0.284 1
S5 S 0.283 0.537 0.000 1
S6 S 0.283 0.963 0.500 1
S7 S 0.446 0.158 0.063 1
S8 S 0.446 0.342 0.563 1
S9 S 0.554 0.658 0.437 1
S10 S 0.554 0.842 0.937 1
S11 S 0.717 0.037 0.500 1
S12 S 0.717 0.463 0.000 1
S13 S 0.718 0.629 0.716 1
S14 S 0.718 0.871 0.216 1
S15 S 0.939 0.675 0.441 1
S16 S 0.939 0.825 0.941 1
Cl1 Cl 0.285 0.672 0.725 1
Cl2 Cl 0.285 0.828 0.225 1
Cl3 Cl 0.715 0.172 0.775 1
Cl4 Cl 0.715 0.328 0.275 1


# Eu2Co5Ge3, relaxed, DFT PBE
# - total moment (μB/cell) = 17.04
# - final energy (eV per atom) = -7.29
data_Eu2Co5Ge3
_symmetry_space_group_name_H-M 'P 1'
_symmetry_Int_Tables_number 1
_symmetry_space_group_name_Hall 'P 1'
_cell_length_a 4.021
_cell_length_b 4.021
_cell_length_c 10.225
_cell_angle_alpha 90.00
_cell_angle_beta 90.00
_cell_angle_gamma 90.00
loop_
_atom_site_label
_atom_site_type_symbol
_atom_site_fract_x
_atom_site_fract_y
_atom_site_fract_z
_atom_site_occupancy
Eu1 Eu 0.000 0.000 0.000 1
Eu2 Eu 0.500 0.500 0.492 1
Co1 Co 0.000 0.500 0.237 1
Co2 Co 0.000 0.500 0.746 1
Co3 Co 0.500 0.000 0.237 1
Co4 Co 0.500 0.000 0.746 1
Co5 Co 0.500 0.500 0.121 1
Ge1 Ge 0.000 0.000 0.358 1
Ge2 Ge 0.000 0.000 0.632 1
Ge3 Ge 0.500 0.500 0.871 1


# InFeNi, relaxed, DFT PBE
# - energy relative to the lowest polymorph listed for this composition (meV/atom) = 80
# - total moment (μB/cell) = 3.08
# - final energy (eV per atom) = -5.47
data_InFeNi
_symmetry_space_group_name_H-M 'P 1'
_symmetry_Int_Tables_number 1
_symmetry_space_group_name_Hall 'P 1'
_cell_length_a 4.263
_cell_length_b 4.263
_cell_length_c 2.795
_cell_angle_alpha 90.00
_cell_angle_beta 90.00
_cell_angle_gamma 120.00
loop_
_atom_site_label
_atom_site_type_symbol
_atom_site_fract_x
_atom_site_fract_y
_atom_site_fract_z
_atom_site_occupancy
In1 In 0.000 0.000 0.000 1
Fe1 Fe 0.667 0.333 0.500 1
Ni1 Ni 0.333 0.667 0.500 1